(a)
Below is SrLaI5 after structural relaxation, with properties calculated at the PBE level.

```
data_SrLaI5
_cell_length_a 4.614
_cell_length_b 8.699
_cell_length_c 15.220
_cell_angle_alpha 87.22
_cell_angle_beta 90.00
_cell_angle_gamma 90.00
_symmetry_space_group_name_H-M 'P 1'
_symmetry_Int_Tables_number 1
loop_
_symmetry_equiv_pos_as_xyz
'x,y,z'
loop_
_atom_site_label
_atom_site_fract_x
_atom_site_fract_y
_atom_site_fract_z
Sr1 0.750 0.547 0.646
Sr2 0.250 0.453 0.354
La1 0.250 0.947 0.841
La2 0.750 0.053 0.159
I1 0.750 0.952 0.686
I2 0.250 0.849 0.065
I3 0.250 0.701 0.518
I4 0.750 0.672 0.879
I5 0.750 0.681 0.263
I6 0.250 0.319 0.737
I7 0.250 0.328 0.121
I8 0.750 0.299 0.482
I9 0.750 0.151 0.935
I10 0.250 0.048 0.314
```

=====

(b)
Below is SrLaI5 after structural relaxation, with properties calculated at the PBE level.

```
data_SrLaI5
_cell_length_a 11.481
_cell_length_b 11.481
_cell_length_c 8.014
_cell_angle_alpha 88.51
_cell_angle_beta 88.51
_cell_angle_gamma 147.46
_symmetry_space_group_name_H-M 'P 1'
_symmetry_Int_Tables_number 1
loop_
_symmetry_equiv_pos_as_xyz
'x,y,z'
loop_
_atom_site_label
_atom_site_fract_x
_atom_site_fract_y
_atom_site_fract_z
Sr1 0.677 0.323 0.750
Sr2 0.323 0.677 0.250
La1 0.921 0.079 0.750
La2 0.079 0.921 0.250
I1 0.789 0.713 0.607
I2 0.806 0.199 0.493
I3 0.631 0.369 0.250
I4 0.801 0.194 0.007
I5 0.713 0.789 0.107
I6 0.287 0.211 0.893
I7 0.199 0.806 0.993
I8 0.369 0.631 0.750
I9 0.194 0.801 0.507
I10 0.211 0.287 0.393
```

=====

The data favor (a); the next most stable structure lies 0.045 eV/atom above it.